Here is a relaxed structure of Li2Fe2Mo3O12 from the Materials Project database. Energies are from PBE with a Hubbard U.

abc: 5.232 10.735 20.974
angles: 59.25 90.00 90.00
Fractional coordinates of all 76 atoms:
O: 0.693 0.750 0.498
O: 0.307 0.750 0.998
O: 0.166 0.576 0.538
O: 0.689 0.739 0.874
O: 0.337 0.434 0.075
O: 0.189 0.988 0.626
O: 0.162 0.846 0.539
O: 0.166 0.836 0.787
O: 0.334 0.911 0.213
O: 0.834 0.576 0.038
O: 0.813 0.261 0.126
O: 0.107 0.591 0.295
O: 0.395 0.405 0.845
O: 0.890 0.321 0.795
O: 0.335 0.422 0.462
O: 0.811 0.988 0.126
O: 0.302 0.015 0.373
O: 0.167 0.090 0.786
O: 0.112 0.595 0.155
O: 0.813 0.247 0.503
O: 0.888 0.595 0.655
O: 0.187 0.247 0.003
O: 0.398 0.410 0.705
O: 0.187 0.261 0.626
O: 0.598 0.679 0.205
O: 0.666 0.164 0.712
O: 0.110 0.321 0.295
O: 0.836 0.564 0.425
O: 0.665 0.422 0.962
O: 0.402 0.679 0.705
O: 0.332 0.916 0.076
O: 0.668 0.916 0.576
O: 0.666 0.911 0.713
O: 0.162 0.087 0.926
O: 0.605 0.405 0.345
O: 0.838 0.087 0.426
O: 0.164 0.564 0.925
O: 0.311 0.739 0.374
O: 0.698 0.015 0.873
O: 0.602 0.410 0.205
O: 0.893 0.591 0.795
O: 0.667 0.156 0.962
O: 0.838 0.846 0.039
O: 0.833 0.090 0.286
O: 0.663 0.434 0.575
O: 0.333 0.156 0.462
O: 0.334 0.164 0.212
O: 0.834 0.836 0.287
Fe: 0.501 0.605 0.972
Fe: 0.001 0.044 0.026
Fe: 0.998 0.397 0.028
Fe: 0.499 0.605 0.472
Fe: 0.352 0.498 0.250
Fe: 0.002 0.397 0.528
Fe: 0.999 0.044 0.526
Fe: 0.648 0.498 0.750
Li: 0.005 0.049 0.701
Li: 0.497 0.952 0.301
Li: 0.503 0.952 0.801
Li: 0.497 0.952 0.971
Li: 0.856 0.500 0.249
Li: 0.144 0.500 0.749
Li: 0.995 0.049 0.201
Li: 0.503 0.952 0.471
Mo: 0.469 0.315 0.657
Mo: 0.969 0.693 0.558
Mo: 0.973 0.129 0.844
Mo: 0.528 0.872 0.156
Mo: 0.027 0.129 0.344
Mo: 0.030 0.684 0.343
Mo: 0.970 0.684 0.843
Mo: 0.031 0.693 0.058
Mo: 0.531 0.307 0.442
Mo: 0.531 0.315 0.157
Mo: 0.472 0.872 0.656
Mo: 0.469 0.307 0.942

**Formation enthalpy at 0 K**: -2020.8 meV per atom
**Total energy after the MP2020 corrections**: -7.951 eV per atom
**Space group**: Pc
**VASP energy**: -6.774 eV/atom